{"formula": "LiCoSiO4", "functional": "GGA+U", "state": "relaxed", "lattice": [[-1.9150, 1.8942, -4.3076], [2.9287, -4.8766, -3.4464], [-8.4746, -5.9141, 1.1668]], "species": ["O", "O", "O", "O", "Co", "O", "Co", "O", "O", "O", "O", "O", "O", "Li", "Li", "Si", "O", "O", "O", "Si", "Co", "Li", "Si", "Li", "Co", "Si", "O", "O"], "fractional_positions": [[0.7105, 0.7384, 0.0622], [0.1492, 0.0602, 0.1612], [0.7105, 0.7616, 0.5622], [0.5818, 0.2214, 0.6236], [0.7617, 0.9866, 0.6683], [0.1492, 0.4398, 0.6612], [0.7617, 0.5134, 0.1683], [0.6229, 0.5386, 0.8354], [0.0818, 0.7214, 0.8764], [0.6492, 0.5602, 0.3388], [0.2105, 0.2384, 0.4378], [0.1229, 0.4614, 0.1646], [0.5818, 0.2786, 0.1236], [0.7591, 0.0097, 0.1547], [0.2591, 0.9903, 0.8453], [0.7625, 0.7670, 0.4062], [0.6492, 0.9398, 0.8388], [0.0818, 0.7786, 0.3764], [0.2105, 0.2616, 0.9378], [0.2625, 0.2330, 0.5938], [0.2617, 0.4866, 0.8317], [0.2591, 0.5097, 0.3453], [0.7625, 0.7330, 0.9062], [0.7591, 0.4903, 0.6547], [0.2617, 0.0134, 0.3317], [0.2625, 0.2670, 0.0938], [0.6229, 0.9614, 0.3354], [0.1229, 0.0386, 0.6646]], "e_ij_max_c_m2": 0.449, "energy_ev_per_cell": -184.61, "formation_energy_kj_per_mol_atoms": -225}

***

{"formula": "LiCoSiO4", "functional": "GGA+U", "state": "relaxed", "lattice": [[5.2117, 0.0000, 0.0000], [0.0000, 6.5618, 0.0000], [0.0000, 0.0000, 10.4536]], "species": ["Co", "O", "O", "O", "O", "Si", "Co", "Si", "Co", "O", "Li", "O", "Si", "O", "O", "O", "O", "Li", "O", "Li", "O", "O", "O", "O", "O", "Co", "Li", "Si"], "fractional_positions": [[0.6766, 0.8648, 0.4108], [0.8640, 0.0926, 0.3633], [0.2511, 0.3291, 0.9167], [0.6769, 0.4203, 0.5914], [0.1769, 0.9203, 0.9086], [0.8233, 0.6157, 0.6577], [0.8234, 0.8648, 0.9108], [0.1767, 0.1157, 0.3423], [0.1766, 0.3648, 0.0892], [0.2489, 0.3291, 0.4167], [0.2921, 0.8806, 0.0866], [0.2573, 0.1325, 0.6888], [0.3233, 0.1157, 0.8423], [0.7573, 0.6325, 0.8112], [0.7489, 0.8291, 0.0833], [0.7427, 0.6325, 0.3112], [0.6360, 0.0926, 0.8633], [0.2079, 0.8806, 0.5866], [0.3640, 0.5926, 0.1367], [0.7921, 0.3806, 0.4134], [0.1360, 0.5926, 0.6367], [0.2427, 0.1325, 0.1888], [0.7511, 0.8291, 0.5833], [0.8231, 0.4203, 0.0914], [0.3231, 0.9203, 0.4086], [0.3234, 0.3648, 0.5892], [0.7079, 0.3806, 0.9134], [0.6767, 0.6157, 0.1577]], "energy_ev_per_cell": -184.12, "formation_energy_kj_per_mol_atoms": -223}

***

{"formula": "LiCoSiO4", "functional": "GGA+U", "state": "relaxed", "lattice": [[6.2469, 0.0000, 0.0000], [0.0000, 5.3144, 0.0000], [0.0000, 0.1328, 5.3535]], "species": ["Li", "O", "O", "O", "Si", "Si", "O", "O", "Co", "O", "Co", "O", "Li", "O"], "fractional_positions": [[0.9931, 0.8117, 0.6703], [0.7751, 0.2742, 0.1709], [0.2104, 0.3326, 0.2362], [0.5215, 0.1252, 0.7121], [0.4921, 0.8199, 0.6796], [0.9921, 0.1801, 0.3204], [0.9586, 0.2010, 0.6243], [0.4586, 0.7990, 0.3757], [0.7437, 0.3209, 0.8260], [0.7104, 0.6674, 0.7638], [0.2437, 0.6791, 0.1740], [0.2751, 0.7258, 0.8291], [0.4931, 0.1883, 0.3297], [0.0215, 0.8748, 0.2879]], "energy_ev_per_cell": -92.12, "formation_energy_kj_per_mol_atoms": -223}

***

{"formula": "LiCoSiO4", "functional": "GGA+U", "state": "relaxed", "lattice": [[-2.2078, 3.0105, -4.0585], [-3.2157, -7.9661, -4.1593], [-9.5893, 0.8356, 5.8133]], "species": ["O", "Li", "Si", "Co", "O", "Li", "Co", "Si", "O", "O", "Si", "O", "O", "Si", "Li", "O", "Co", "O", "O", "O", "O", "Li", "Co", "Li", "O", "Co", "Si", "O", "O", "O", "O", "O", "O", "O", "O", "O", "Si", "Li", "O", "O", "O", "Co"], "fractional_positions": [[0.1907, 0.4145, 0.9143], [0.5000, 0.5000, 0.5000], [0.5000, 0.0003, 0.0000], [0.0000, 0.5000, 0.5000], [0.1897, 0.5860, 0.0859], [0.9997, 0.0003, 0.1670], [0.2498, 0.7503, 0.1667], [0.2491, 0.2494, 0.3333], [0.2153, 0.3877, 0.4189], [0.2825, 0.1120, 0.4197], [0.2509, 0.7494, 0.6667], [0.2175, 0.6119, 0.5803], [0.7825, 0.6120, 0.4197], [0.7491, 0.7494, 0.3333], [0.4997, 0.5003, 0.1670], [0.4738, 0.3023, 0.2479], [0.5000, 0.0000, 0.5000], [0.5267, 0.6973, 0.2469], [0.8103, 0.5860, 0.9141], [0.3103, 0.0860, 0.9141], [0.7847, 0.3877, 0.5811], [0.0003, 0.0004, 0.8330], [0.7498, 0.2503, 0.1667], [0.5003, 0.5003, 0.8330], [0.3093, 0.9145, 0.0857], [0.2502, 0.2503, 0.8333], [0.0000, 0.5003, 0.0000], [0.9733, 0.1973, 0.7532], [0.8093, 0.4145, 0.0857], [0.2847, 0.8878, 0.5811], [0.4733, 0.6973, 0.7532], [0.9738, 0.8022, 0.2479], [0.5262, 0.3023, 0.7521], [0.0267, 0.1973, 0.2468], [0.6907, 0.9145, 0.9143], [0.7153, 0.8878, 0.4189], [0.7509, 0.2494, 0.6668], [0.0000, 0.0001, 0.5000], [0.7175, 0.1120, 0.5803], [0.6897, 0.0860, 0.0859], [0.0262, 0.8022, 0.7521], [0.7502, 0.7503, 0.8333]], "e_ij_max_c_m2": 0.575, "energy_ev_per_cell": -276.20, "formation_energy_kj_per_mol_atoms": -223}

***

{"formula": "LiCoSiO4", "functional": "GGA+U", "state": "relaxed", "lattice": [[2.8875, -3.9327, -2.1711], [5.1109, 0.2986, -1.5190], [6.1481, -4.0682, 5.4341]], "species": ["Li", "O", "Li", "O", "O", "Si", "O", "Si", "O", "O", "O", "Co", "Co", "O"], "fractional_positions": [[0.7938, 0.4880, 0.3645], [0.1263, 0.1785, 0.1951], [0.4880, 0.7938, 0.8645], [0.7679, 0.1751, 0.5782], [0.7926, 0.8456, 0.3828], [0.1342, 0.8346, 0.2466], [0.1785, 0.1263, 0.6951], [0.8346, 0.1342, 0.7466], [0.8456, 0.7926, 0.8828], [0.4196, 0.5451, 0.3415], [0.5451, 0.4196, 0.8415], [0.1445, 0.5020, 0.0061], [0.5020, 0.1445, 0.5061], [0.1751, 0.7679, 0.0782]], "energy_ev_per_cell": -91.80, "formation_energy_kj_per_mol_atoms": -221}

***

{"formula": "LiCoSiO4", "functional": "GGA+U", "state": "relaxed", "lattice": [[-0.7273, -2.5019, -4.3959], [-1.9708, -8.5847, 5.2120], [-12.8598, 3.1542, 0.3326]], "species": ["O", "O", "Si", "Li", "O", "O", "O", "O", "O", "O", "Si", "O", "Co", "Li", "O", "Li", "O", "O", "Co", "Co", "O", "O", "O", "O", "Li", "O", "O", "O", "O", "O", "Si", "Co", "Co", "O", "O", "O", "Si", "O", "Li", "Co", "Si", "O", "O", "Co", "O", "Li", "O", "Si", "O", "Si", "Co", "O", "Si", "Li", "O", "Li"], "fractional_positions": [[0.8812, 0.5072, 0.6144], [0.0011, 0.0594, 0.8794], [0.5651, 0.9661, 0.1238], [0.0609, 0.4615, 0.7464], [0.4239, 0.4740, 0.5222], [0.3713, 0.2518, 0.3677], [0.0818, 0.7188, 0.2722], [0.4965, 0.8097, 0.1321], [0.6287, 0.7482, 0.8677], [0.5035, 0.1903, 0.6321], [0.9447, 0.7824, 0.3729], [0.4239, 0.0260, 0.0222], [0.5575, 0.2862, 0.7499], [0.9391, 0.5385, 0.2464], [0.5761, 0.5260, 0.0222], [0.0609, 0.0385, 0.2464], [0.5502, 0.5419, 0.2237], [0.9989, 0.5594, 0.8794], [0.9178, 0.4664, 0.9976], [0.4425, 0.7862, 0.7499], [0.9235, 0.2864, 0.9730], [0.0011, 0.4406, 0.3794], [0.3713, 0.2482, 0.8677], [0.9182, 0.2812, 0.7722], [0.5595, 0.2136, 0.9991], [0.9182, 0.2188, 0.2722], [0.5502, 0.9581, 0.7237], [0.4498, 0.4581, 0.7237], [0.0818, 0.7812, 0.7722], [0.0765, 0.7864, 0.9730], [0.0553, 0.2176, 0.8729], [0.0822, 0.9664, 0.9976], [0.4425, 0.7138, 0.2499], [0.9235, 0.2136, 0.4730], [0.1188, 0.4928, 0.1144], [0.0765, 0.7136, 0.4730], [0.0553, 0.2824, 0.3729], [0.4498, 0.0419, 0.2237], [0.5595, 0.2864, 0.4991], [0.5575, 0.2138, 0.2499], [0.9447, 0.7176, 0.8729], [0.8812, 0.9928, 0.1144], [0.9989, 0.9406, 0.3794], [0.0822, 0.5336, 0.4976], [0.4965, 0.6903, 0.6321], [0.4405, 0.7136, 0.9991], [0.6287, 0.7518, 0.3677], [0.4349, 0.0339, 0.6238], [0.5761, 0.9740, 0.5222], [0.5651, 0.5339, 0.6238], [0.9178, 0.0336, 0.4976], [0.1188, 0.0072, 0.6144], [0.4349, 0.4661, 0.1238], [0.4405, 0.7864, 0.4991], [0.5035, 0.3097, 0.1321], [0.9391, 0.9615, 0.7464]], "energy_ev_per_cell": -369.15, "formation_energy_kj_per_mol_atoms": -225}

***

{"formula": "LiCoSiO4", "functional": "GGA+U", "state": "relaxed", "lattice": [[-2.3483, 4.4987, 1.1716], [-0.4581, -1.7223, 5.6951], [10.0077, 4.6483, 2.2107]], "species": ["O", "Si", "Li", "Co", "O", "Si", "O", "Si", "O", "Li", "Si", "Co", "O", "Li", "O", "O", "O", "Co", "O", "Co", "O", "O", "O", "O", "Li", "O", "O", "O"], "fractional_positions": [[0.1293, 0.7720, 0.9376], [0.8161, 0.7505, 0.9225], [0.3027, 0.9840, 0.8274], [0.6771, 0.2575, 0.9221], [0.6780, 0.7329, 0.0537], [0.3161, 0.2505, 0.5775], [0.1780, 0.2329, 0.4463], [0.6839, 0.7505, 0.4225], [0.3220, 0.2329, 0.9463], [0.6973, 0.4840, 0.1726], [0.1839, 0.2505, 0.0775], [0.8229, 0.2575, 0.4221], [0.7108, 0.9746, 0.8524], [0.1973, 0.9840, 0.3274], [0.8220, 0.7329, 0.5537], [0.7493, 0.5251, 0.8427], [0.2493, 0.0251, 0.6573], [0.3229, 0.7575, 0.0779], [0.2108, 0.4746, 0.6476], [0.1771, 0.7575, 0.5779], [0.8707, 0.2720, 0.0624], [0.7892, 0.9746, 0.3524], [0.7507, 0.5251, 0.3427], [0.2507, 0.0251, 0.1573], [0.8027, 0.4840, 0.6726], [0.2892, 0.4746, 0.1476], [0.6293, 0.2720, 0.5624], [0.3707, 0.7720, 0.4376]], "energy_ev_per_cell": -184.11, "formation_energy_kj_per_mol_atoms": -223}

***

{"formula": "Li5Co4Si4O16", "functional": "GGA+U", "state": "relaxed", "lattice": [[-2.4729, -6.7621, 4.1517], [-0.3453, -5.9830, -5.7586], [10.0059, -2.4831, 1.9530]], "species": ["O", "Si", "Si", "O", "O", "O", "Co", "Li", "O", "O", "O", "O", "Li", "O", "Si", "Co", "Li", "Li", "Si", "Co", "Si", "O", "O", "O", "Li", "O", "O", "O", "O", "Si", "O", "O", "Co", "O", "Li", "Si", "O", "Li", "O", "O", "Li", "Co", "O", "O", "O", "Li", "Co", "Li", "Co", "O", "O", "O", "Co", "Si", "O", "O", "O", "O"], "fractional_positions": [[0.9947, 0.8824, 0.0991], [0.1622, 0.7271, 0.0910], [0.6648, 0.7253, 0.4107], [0.3152, 0.7741, 0.1707], [0.6914, 0.6889, 0.5614], [0.8782, 0.4954, 0.8821], [0.3543, 0.7786, 0.8355], [0.0348, 0.5907, 0.3376], [0.6946, 0.2076, 0.4381], [0.2076, 0.6946, 0.9381], [0.2573, 0.3103, 0.8197], [0.8162, 0.2726, 0.1687], [0.5907, 0.0348, 0.8376], [0.7741, 0.3152, 0.6707], [0.2168, 0.1576, 0.9029], [0.7786, 0.3543, 0.3355], [0.1000, 0.5337, 0.8359], [0.6015, 0.5352, 0.6574], [0.7253, 0.6648, 0.9107], [0.2912, 0.8419, 0.3415], [0.7271, 0.1622, 0.5910], [0.3103, 0.2573, 0.3197], [0.8252, 0.7782, 0.3450], [0.3814, 0.4915, 0.6110], [0.0360, 0.1003, 0.1578], [0.1855, 0.7131, 0.4430], [0.6305, 0.5622, 0.3346], [0.4915, 0.3814, 0.1110], [0.8824, 0.9947, 0.5991], [0.6587, 0.2239, 0.0954], [0.7131, 0.1855, 0.9430], [0.1143, 0.0445, 0.3468], [0.8453, 0.7753, 0.6615], [0.9916, 0.3709, 0.3818], [0.9301, 0.9441, 0.9215], [0.1576, 0.2168, 0.4029], [0.5573, 0.1300, 0.6576], [0.5352, 0.6015, 0.1574], [0.6186, 0.0626, 0.1615], [0.6889, 0.6914, 0.0614], [0.1003, 0.0360, 0.6578], [0.7753, 0.8453, 0.1615], [0.1880, 0.2087, 0.0541], [0.5622, 0.6305, 0.8346], [0.0445, 0.1143, 0.8468], [0.5337, 0.1000, 0.3359], [0.8419, 0.2912, 0.8415], [0.9441, 0.9301, 0.4215], [0.3473, 0.2834, 0.6526], [0.4954, 0.8782, 0.3821], [0.2087, 0.1880, 0.5541], [0.3709, 0.9916, 0.8818], [0.2834, 0.3473, 0.1526], [0.2239, 0.6587, 0.5954], [0.2726, 0.8162, 0.6687], [0.1300, 0.5573, 0.1576], [0.0626, 0.6186, 0.6615], [0.7782, 0.8252, 0.8450]], "energy_ev_per_cell": -380.39, "formation_energy_kj_per_mol_atoms": -229}

***

{"formula": "LiCoSiO4", "functional": "GGA+U", "state": "relaxed", "lattice": [[1.2129, 1.2645, -8.5069], [-7.9031, -1.9740, 3.0136], [-1.6065, 7.8673, 0.9403]], "species": ["Co", "Si", "Si", "Co", "Si", "O", "O", "Co", "O", "O", "Li", "O", "Si", "O", "O", "O", "O", "O", "O", "O", "Si", "O", "O", "O", "O", "Co", "O", "Li", "O", "Co", "Co", "Si", "O", "Li", "Li", "Li", "O", "O", "O", "Li", "O", "O"], "fractional_positions": [[0.6561, 0.9645, 0.4036], [0.6891, 0.6421, 0.5178], [0.0470, 0.6891, 0.0178], [0.3439, 0.0355, 0.9036], [0.3579, 0.0470, 0.5178], [0.5251, 0.4446, 0.9962], [0.2056, 0.7862, 0.8775], [0.9645, 0.3085, 0.9036], [0.8509, 0.2645, 0.6980], [0.0806, 0.5251, 0.4962], [0.6667, 0.3333, 0.2459], [0.8597, 0.0874, 0.0085], [0.9530, 0.3109, 0.5178], [0.1403, 0.9126, 0.5085], [0.4194, 0.2056, 0.3775], [0.4749, 0.5554, 0.4962], [0.7862, 0.5806, 0.3775], [0.5863, 0.8509, 0.1980], [0.9194, 0.4749, 0.9962], [0.2138, 0.4194, 0.8775], [0.6421, 0.9530, 0.0178], [0.9126, 0.7723, 0.0085], [0.7355, 0.5863, 0.6980], [0.7723, 0.8597, 0.5085], [0.5554, 0.0806, 0.9962], [0.0355, 0.6915, 0.4036], [0.0874, 0.2277, 0.5085], [0.0000, 0.0000, 0.5936], [0.5806, 0.7944, 0.8775], [0.6915, 0.6561, 0.9036], [0.3085, 0.3439, 0.4036], [0.3109, 0.3579, 0.0178], [0.1491, 0.7355, 0.1980], [0.3333, 0.6667, 0.2608], [0.3333, 0.6667, 0.7459], [0.0000, 0.0000, 0.0936], [0.2277, 0.1403, 0.0085], [0.2645, 0.4137, 0.1980], [0.4137, 0.1491, 0.6980], [0.6667, 0.3333, 0.7608], [0.4446, 0.9194, 0.4962], [0.7944, 0.2138, 0.3775]], "energy_ev_per_cell": -275.63, "formation_energy_kj_per_mol_atoms": -222}

***

{"formula": "LiCoSiO4", "functional": "GGA+U", "state": "relaxed", "lattice": [[-3.9648, -0.3689, -2.9082], [-2.5114, -4.9351, 4.0498], [-4.5366, 6.6877, 5.3363]], "species": ["O", "O", "O", "O", "O", "Si", "O", "O", "O", "Si", "Li", "Si", "Co", "O", "O", "O", "O", "O", "Li", "Co", "O", "Co", "Li", "Si", "O", "Li", "O", "Co"], "fractional_positions": [[0.8637, 0.4780, 0.8160], [0.6993, 0.7219, 0.0810], [0.7540, 0.9920, 0.3782], [0.7611, 0.3637, 0.0669], [0.6363, 0.5220, 0.3160], [0.4336, 0.0198, 0.3477], [0.7460, 0.0080, 0.8782], [0.2460, 0.4920, 0.1218], [0.2389, 0.8637, 0.4331], [0.5664, 0.5198, 0.1523], [0.8950, 0.7228, 0.3839], [0.0664, 0.9802, 0.8477], [0.0110, 0.0683, 0.5122], [0.2611, 0.1363, 0.9331], [0.1993, 0.7781, 0.9190], [0.7389, 0.6363, 0.5669], [0.8007, 0.2781, 0.5810], [0.2540, 0.5080, 0.6218], [0.6050, 0.2772, 0.8839], [0.5110, 0.4317, 0.4878], [0.3007, 0.2219, 0.4190], [0.9890, 0.5683, 0.9878], [0.3950, 0.7772, 0.6161], [0.9336, 0.4802, 0.6523], [0.1363, 0.9780, 0.6840], [0.1050, 0.2228, 0.1161], [0.3637, 0.0220, 0.1840], [0.4890, 0.9317, 0.0122]], "energy_ev_per_cell": -183.68, "formation_energy_kj_per_mol_atoms": -222}

***

{"formula": "LiCoSiO4", "functional": "GGA+U", "state": "relaxed", "lattice": [[-2.6008, 4.6990, 1.5659], [-3.0444, -0.3654, -3.9599], [-6.9110, -3.6139, -0.6338]], "species": ["Co", "O", "Si", "Co", "O", "O", "O", "O", "Li", "Si", "O", "O", "O", "Li"], "fractional_positions": [[0.1659, 0.5219, 0.5006], [0.7129, 0.9047, 0.7244], [0.8439, 0.0217, 0.4967], [0.8341, 0.5219, 0.0006], [0.1121, 0.1770, 0.4758], [0.1318, 0.6772, 0.0148], [0.2871, 0.9047, 0.2244], [0.6845, 0.3103, 0.2728], [0.6613, 0.2801, 0.7476], [0.1561, 0.0217, 0.9967], [0.8879, 0.1770, 0.9758], [0.3155, 0.3103, 0.7728], [0.8682, 0.6772, 0.5148], [0.3387, 0.2801, 0.2476]], "energy_ev_per_cell": -92.03, "formation_energy_kj_per_mol_atoms": -223}